Density functional theory data (PBE) for crystalline PrPIr at its relaxed geometry.

As for the space group: No. 109. The value obtained for the formation energy is -1.129 eV per atom.

a = 4.1422 Å, b = 4.1422 Å, c = 14.2845 Å
α = 90.00°, β = 90.00°, γ = 90.00°
With the nearest neighbours (Å) after each atom.
Sites, in units of the cell vectors:
Pr: 0.0000 0.0000 0.0000  6 Ir 3.10-3.19, 6 P 3.14-3.21
Pr: 0.0000 0.5000 0.2500  6 Ir 3.10-3.19, 6 P 3.14-3.21
Pr: 0.5000 0.0000 0.7500  6 Ir 3.10-3.19, 6 P 3.14-3.21
Pr: 0.5000 0.5000 0.5000  6 Ir 3.10-3.19, 6 P 3.14-3.21
P: 0.0000 0.0000 0.5786  3 Ir 2.38-2.39
P: 0.0000 0.5000 0.8286  3 Ir 2.38-2.39
P: 0.5000 0.0000 0.3286  3 Ir 2.38-2.39
P: 0.5000 0.5000 0.0786  3 Ir 2.38-2.39
Ir: 0.0000 0.0000 0.4112  3 P 2.38-2.39
Ir: 0.0000 0.5000 0.6612  3 P 2.38-2.39
Ir: 0.5000 0.0000 0.1612  3 P 2.38-2.39
Ir: 0.5000 0.5000 0.9112  3 P 2.38-2.39

---

Density functional theory data (PBE) for crystalline Si2P4Ir at its relaxed geometry.

As for the space group: No. 12. The value obtained for the formation energy is -0.261 eV per atom. The size of the total moment comes out at 0.00 μB per formula unit.

a = 6.5430 Å, b = 7.3570 Å, c = 5.5791 Å
α = 90.00°, β = 118.89°, γ = 90.00°
With the nearest neighbours (Å) after each atom.
Sites, in units of the cell vectors:
Si: 0.0868 0.0000 0.3608  2 P 2.29, 1 Si 2.32, 1 Ir 2.43
Si: 0.4132 0.5000 0.6392  2 P 2.29, 1 Si 2.32, 1 Ir 2.43
Si: 0.5868 0.5000 0.3608  2 P 2.29, 1 Si 2.32, 1 Ir 2.43
Si: 0.9132 0.0000 0.6392  2 P 2.29, 1 Si 2.32, 1 Ir 2.43
P: 0.0642 0.2744 0.8433  2 P 2.23-2.28, 1 Si 2.29, 1 Ir 2.41
P: 0.0642 0.7256 0.8433  2 P 2.23-2.28, 1 Si 2.29, 1 Ir 2.41
P: 0.4358 0.2256 0.1567  2 P 2.23-2.28, 1 Si 2.29, 1 Ir 2.41
P: 0.4358 0.7744 0.1567  2 P 2.23-2.28, 1 Si 2.29, 1 Ir 2.41
P: 0.5642 0.2256 0.8433  2 P 2.23-2.28, 1 Si 2.29, 1 Ir 2.41
P: 0.5642 0.7744 0.8433  2 P 2.23-2.28, 1 Si 2.29, 1 Ir 2.41
P: 0.9358 0.2744 0.1567  2 P 2.23-2.28, 1 Si 2.29, 1 Ir 2.41
P: 0.9358 0.7256 0.1567  2 P 2.23-2.28, 1 Si 2.29, 1 Ir 2.41
Ir: 0.0000 0.5000 0.5000  4 P 2.41, 2 Si 2.43
Ir: 0.5000 0.0000 0.5000  4 P 2.41, 2 Si 2.43

---

Density functional theory data (PBE) for crystalline Si3P3Ir at its relaxed geometry.

As for the space group: No. 1. The value obtained for the formation energy is -0.366 eV per atom.

a = 4.9295 Å, b = 4.9476 Å, c = 5.5081 Å
α = 108.71°, β = 107.91°, γ = 95.36°
With the nearest neighbours (Å) after each atom.
Sites, in units of the cell vectors:
Si: 0.0000 0.0000 0.0000  2 P 2.26-2.28, 1 Si 2.34, 1 Ir 2.38
Si: 0.1240 0.5587 0.7965  1 P 2.30, 2 Si 2.34-2.35, 1 Ir 2.46
Si: 0.3049 0.7472 0.5216  2 P 2.29-2.32, 1 Si 2.35, 1 Ir 2.44
P: 0.4177 0.3172 0.3076  1 P 2.22, 2 Si 2.26-2.29, 1 Ir 2.43
P: 0.5563 0.4498 0.0072  2 P 2.22-2.24, 1 Si 2.30, 1 Ir 2.38
P: 0.8694 0.8630 0.3125  1 P 2.24, 2 Si 2.28-2.32, 1 Ir 2.39
Ir: 0.7084 0.1555 0.6575  3 P 2.38-2.43, 3 Si 2.38-2.46

---

Density functional theory data (PBE) for crystalline Sm30P52Ir65 at its relaxed geometry.

As for the space group: No. 6. The value obtained for the formation energy is -1.005 eV per atom. The size of the total moment comes out at 0.24 μB per formula unit.

a = 13.3666 Å, b = 3.9808 Å, c = 47.3521 Å
α = 90.00°, β = 95.44°, γ = 90.00°
With the nearest neighbours (Å) after each atom.
Sites, in units of the cell vectors:
Sm: 0.0000 0.0000 0.0000  6 P 3.03-3.08, 9 Ir 3.12-3.29
Sm: 0.0002 0.5000 0.4999  6 P 3.03-3.08, 9 Ir 3.12-3.30
Sm: 0.0664 0.0000 0.9172  6 P 3.02-3.16, 9 Ir 3.05-3.28
Sm: 0.0663 0.5000 0.4171  6 P 3.03-3.16, 9 Ir 3.05-3.28
Sm: 0.2710 0.0000 0.2688  6 P 2.98-3.13, 8 Ir 2.99-3.27
Sm: 0.2717 0.5000 0.7689  6 P 2.97-3.12, 8 Ir 2.99-3.25
Sm: 0.3003 0.0000 0.5838  3 P 2.81-3.00, 2 Ir 3.07
Sm: 0.3001 0.5000 0.0839  3 P 2.82-3.01, 2 Ir 3.07
Sm: 0.3083 0.5000 0.6844  6 P 2.94-3.08, 9 Ir 3.04-3.28
Sm: 0.3085 0.0000 0.1848  6 P 2.96-3.10, 9 Ir 3.03-3.30
Sm: 0.3195 0.0000 0.9829  5 P 2.87-3.20
Sm: 0.3195 0.5000 0.4829  5 P 2.87-3.20
Sm: 0.4219 0.0000 0.3696  6 P 2.89-3.13, 5 Ir 3.10-3.18
Sm: 0.4219 0.5000 0.8696  6 P 2.88-3.13, 5 Ir 3.10-3.19
Sm: 0.5532 0.5000 0.7436  6 P 2.89-3.13, 5 Ir 3.10-3.19
Sm: 0.5570 0.0000 0.2437  6 P 2.92-3.13, 6 Ir 3.12-3.21
Sm: 0.6558 0.0000 0.6302  5 P 2.87-3.20
Sm: 0.6569 0.5000 0.1307  5 P 2.89-3.21
Sm: 0.6670 0.0000 0.4288  6 P 2.95-3.08, 9 Ir 3.05-3.28
Sm: 0.6671 0.5000 0.9288  6 P 2.94-3.08, 9 Ir 3.05-3.28
Sm: 0.6753 0.0000 0.0295  3 P 2.81-3.01, 2 Ir 3.08
Sm: 0.6750 0.5000 0.5294  3 P 2.81-3.00, 2 Ir 3.07
Sm: 0.7037 0.5000 0.8444  6 P 2.97-3.12, 8 Ir 2.99-3.25
Sm: 0.7048 0.0000 0.3435  6 P 2.96-3.15, 8 Ir 3.13-3.23
Sm: 0.9025 0.5000 0.1985  6 P 3.02-3.14, 7 Ir 3.03-3.31
Sm: 0.9090 0.0000 0.6960  6 P 3.02-3.16, 9 Ir 3.05-3.28
Sm: 0.9753 0.0000 0.6133  6 P 3.03-3.08, 9 Ir 3.12-3.30
Sm: 0.9745 0.5000 0.1134  6 P 3.02-3.08, 9 Ir 3.12-3.29
Sm: 0.9867 0.0000 0.3063  6 P 2.93-3.13, 6 Ir 3.03-3.16
Sm: 0.9877 0.5000 0.8066  6 P 2.95-3.12, 6 Ir 3.01-3.16
P: 0.0046 0.0000 0.3691  6 Ir 2.38-2.57
P: 0.0045 0.5000 0.8692  6 Ir 2.38-2.56
P: 0.0199 0.0000 0.1623  5 Ir 2.36-2.52
P: 0.0199 0.5000 0.6624  5 Ir 2.37-2.53
P: 0.0980 0.0000 0.0814  5 Ir 2.33-2.58
P: 0.0978 0.5000 0.5814  5 Ir 2.33-2.58
P: 0.1641 0.5000 0.3017  4 Ir 2.30-2.56
P: 0.1646 0.0000 0.8017  4 Ir 2.29-2.55
P: 0.1672 0.0000 0.5156  4 Ir 2.28-2.42
P: 0.1671 0.5000 0.0156  4 Ir 2.28-2.42
P: 0.1996 0.0000 0.7203  5 Ir 2.38-2.54
P: 0.1998 0.5000 0.2200  5 Ir 2.37-2.51
P: 0.2458 0.0000 0.4336  5 Ir 2.32-2.44
P: 0.2458 0.5000 0.9337  5 Ir 2.32-2.43
P: 0.2485 0.5000 0.1402  4 Ir 2.34-2.41
P: 0.2492 0.0000 0.6401  4 Ir 2.34-2.39
P: 0.2652 0.5000 0.3625  5 Ir 2.29-2.54
P: 0.2655 0.0000 0.8626  5 Ir 2.29-2.54
P: 0.3744 0.0000 0.0431  4 Ir 2.33-2.37
P: 0.3742 0.5000 0.5431  4 Ir 2.33-2.37
P: 0.4436 0.0000 0.7779  5 Ir 2.32-2.47
P: 0.4445 0.5000 0.2777  5 Ir 2.32-2.47
P: 0.4674 0.0000 0.1242  4 Ir 2.31-2.45
P: 0.4677 0.5000 0.6241  4 Ir 2.30-2.45
P: 0.4837 0.0000 0.6945  5 Ir 2.34-2.42
P: 0.4857 0.5000 0.1949  5 Ir 2.34-2.42
P: 0.4917 0.0000 0.9186  5 Ir 2.33-2.42
P: 0.4916 0.5000 0.4186  5 Ir 2.34-2.43
P: 0.5074 0.5000 0.9891  4 Ir 2.30-2.45
P: 0.5077 0.0000 0.4891  4 Ir 2.30-2.45
P: 0.5313 0.5000 0.3351  5 Ir 2.32-2.46
P: 0.5318 0.0000 0.8353  5 Ir 2.32-2.47
P: 0.6011 0.0000 0.5701  4 Ir 2.33-2.37
P: 0.6011 0.5000 0.0703  4 Ir 2.34-2.38
P: 0.7099 0.0000 0.7506  5 Ir 2.29-2.54
P: 0.7174 0.5000 0.2492  5 Ir 2.30-2.54
P: 0.7263 0.0000 0.1811  4 Ir 2.36-2.42
P: 0.7261 0.0000 0.9731  4 Ir 2.34-2.39
P: 0.7263 0.5000 0.4732  4 Ir 2.34-2.39
P: 0.7295 0.5000 0.6795  5 Ir 2.32-2.44
P: 0.7752 0.5000 0.3928  5 Ir 2.37-2.54
P: 0.7756 0.0000 0.8929  5 Ir 2.38-2.54
P: 0.8081 0.0000 0.0984  4 Ir 2.31-2.45
P: 0.8082 0.5000 0.3101  5 Ir 2.35-2.61
P: 0.8082 0.5000 0.5976  4 Ir 2.28-2.42
P: 0.8107 0.0000 0.8115  4 Ir 2.29-2.55
P: 0.8774 0.0000 0.5319  5 Ir 2.33-2.58
P: 0.8773 0.5000 0.0320  5 Ir 2.33-2.58
P: 0.9554 0.0000 0.4508  5 Ir 2.37-2.53
P: 0.9554 0.5000 0.9508  5 Ir 2.37-2.53
P: 0.9703 0.0000 0.2443  5 Ir 2.38-2.57
P: 0.9708 0.5000 0.7440  6 Ir 2.38-2.56
Ir: 0.0611 0.0000 0.5543  4 P 2.39-2.58
Ir: 0.0611 0.5000 0.0543  4 P 2.39-2.58
Ir: 0.0874 0.0000 0.7564  4 P 2.29-2.56
Ir: 0.0879 0.5000 0.2562  4 P 2.30-2.57
Ir: 0.0952 0.0000 0.8518  3 P 2.29-2.51
Ir: 0.0946 0.5000 0.3514  3 P 2.29-2.51
Ir: 0.0983 0.5000 0.7122  4 P 2.38-2.49
Ir: 0.0989 0.0000 0.2128  4 P 2.38-2.52
Ir: 0.1136 0.5000 0.1705  4 P 2.36-2.51
Ir: 0.1152 0.0000 0.6700  4 P 2.37-2.54
Ir: 0.1314 0.0000 0.4675  3 P 2.28-2.41
Ir: 0.1313 0.5000 0.9675  3 P 2.28-2.41
Ir: 0.1566 0.0000 0.1293  4 P 2.33-2.51
Ir: 0.1573 0.5000 0.6292  4 P 2.33-2.53
Ir: 0.1887 0.0000 0.3858  4 P 2.32-2.54
Ir: 0.1887 0.5000 0.8859  4 P 2.32-2.54
Ir: 0.1993 0.0000 0.0408  4 P 2.33-2.45
Ir: 0.1992 0.5000 0.5409  4 P 2.33-2.45
Ir: 0.2071 0.5000 0.8276  4 P 2.38-2.66
Ir: 0.2075 0.0000 0.3275  4 P 2.38-2.66
Ir: 0.3097 0.0000 0.9127  4 P 2.39-2.42
Ir: 0.3096 0.5000 0.4127  4 P 2.39-2.42
Ir: 0.3501 0.0000 0.8201  4 P 2.40-2.55
Ir: 0.3504 0.5000 0.3200  4 P 2.40-2.56
Ir: 0.3772 0.0000 0.7309  3 P 2.32-2.38
Ir: 0.3769 0.5000 0.2308  3 P 2.32-2.37
Ir: 0.4241 0.5000 0.1457  4 P 2.33-2.40
Ir: 0.4249 0.0000 0.6455  4 P 2.33-2.38
Ir: 0.4287 0.0000 0.4402  4 P 2.43-2.45
Ir: 0.4287 0.5000 0.9402  4 P 2.42-2.45
Ir: 0.4628 0.0000 0.5349  4 P 2.30-2.37
Ir: 0.4628 0.5000 0.0349  4 P 2.30-2.38
Ir: 0.4882 0.0000 0.3069  4 P 2.43-2.46
Ir: 0.4876 0.5000 0.8066  4 P 2.45
Ir: 0.5123 0.0000 0.0784  4 P 2.31-2.37
Ir: 0.5125 0.5000 0.5783  4 P 2.30-2.37
Ir: 0.5451 0.0000 0.1731  4 P 2.41-2.45
Ir: 0.5465 0.5000 0.6730  4 P 2.42-2.45
Ir: 0.5504 0.0000 0.9677  4 P 2.33-2.38
Ir: 0.5506 0.5000 0.4676  4 P 2.33-2.38
Ir: 0.5983 0.0000 0.8823  3 P 2.32-2.38
Ir: 0.5984 0.5000 0.3821  3 P 2.32-2.37
Ir: 0.6252 0.0000 0.7931  4 P 2.40-2.55
Ir: 0.6261 0.5000 0.2933  4 P 2.45-2.52
Ir: 0.6656 0.0000 0.7006  4 P 2.39-2.42
Ir: 0.6674 0.5000 0.2004  4 P 2.34-2.42
Ir: 0.7629 0.0000 0.2810  4 P 2.46-2.54
Ir: 0.7682 0.5000 0.7857  4 P 2.38-2.66
Ir: 0.7761 0.0000 0.5724  4 P 2.33-2.45
Ir: 0.7765 0.5000 0.0728  4 P 2.34-2.46
Ir: 0.7867 0.5000 0.7273  4 P 2.32-2.54
Ir: 0.8180 0.0000 0.4840  4 P 2.33-2.53
Ir: 0.8181 0.5000 0.9841  4 P 2.33-2.53
Ir: 0.8444 0.0000 0.1471  3 P 2.31-2.39
Ir: 0.8439 0.5000 0.6458  3 P 2.28-2.41
Ir: 0.8602 0.0000 0.9433  4 P 2.37-2.54
Ir: 0.8601 0.5000 0.4432  4 P 2.37-2.54
Ir: 0.8771 0.0000 0.4009  4 P 2.38-2.49
Ir: 0.8770 0.5000 0.9011  4 P 2.38-2.48
Ir: 0.8802 0.0000 0.7615  3 P 2.29-2.51
Ir: 0.8866 0.5000 0.3567  4 P 2.35-2.57
Ir: 0.8878 0.0000 0.8568  4 P 2.29-2.56
Ir: 0.8881 0.5000 0.2619  3 P 2.30-2.46
Ir: 0.9141 0.0000 0.0591  4 P 2.39-2.58
Ir: 0.9140 0.5000 0.5589  4 P 2.39-2.58

---

Density functional theory data (PBE) for crystalline Tb14P24Ir33 at its relaxed geometry.

As for the space group: No. 8. The value obtained for the formation energy is -0.984 eV per atom. The size of the total moment comes out at 0.12 μB per formula unit.

a = 12.0375 Å, b = 12.0375 Å, c = 26.8221 Å
α = 111.53°, β = 111.53°, γ = 18.88°
With the nearest neighbours (Å) after each atom.
Sites, in units of the cell vectors:
Tb: 0.0000 0.0000 0.0000  6 P 2.98-3.14, 8 Ir 2.98-3.25
Tb: 0.9997 0.9997 0.4999  6 P 2.96-3.13, 8 Ir 2.97-3.27
Tb: 0.0478 0.0478 0.3692  6 P 2.91-3.09, 6 Ir 3.12-3.17
Tb: 0.0485 0.0485 0.8708  6 P 2.88-3.08, 5 Ir 3.11-3.15
Tb: 0.1828 0.1828 0.0283  6 P 3.04-3.14, 9 Ir 3.04-3.36
Tb: 0.1829 0.1829 0.5280  6 P 3.02-3.15, 10 Ir 3.04-3.38
Tb: 0.6468 0.6468 0.2188  6 P 2.98-3.16, 7 Ir 3.03-3.29
Tb: 0.6508 0.6508 0.7167  6 P 3.02-3.14, 10 Ir 3.04-3.37
Tb: 0.7840 0.7840 0.3736  6 P 2.89-3.13, 5 Ir 3.14
Tb: 0.7853 0.7853 0.8741  6 P 2.89-3.07, 5 Ir 3.11-3.14
Tb: 0.8341 0.8341 0.7452  6 P 2.96-3.13, 8 Ir 2.98-3.24
Tb: 0.8360 0.8360 0.2452  6 P 2.95-3.16, 8 Ir 3.13-3.21
Tb: 0.9170 0.9170 0.6225  6 P 2.95-3.12, 6 Ir 2.98-3.06
Tb: 0.9184 0.9184 0.1241  6 P 2.91-3.13, 6 Ir 3.01-3.09
P: 0.0504 0.0504 0.1623  5 Ir 2.42-2.53
P: 0.0509 0.0509 0.6619  6 Ir 2.44-2.56
P: 0.1777 0.1777 0.3143  4 Ir 2.33-2.43
P: 0.1832 0.1832 0.8145  5 Ir 2.29-2.45
P: 0.2289 0.2289 0.1830  5 Ir 2.34-2.53
P: 0.2289 0.2289 0.6835  5 Ir 2.33-2.52
P: 0.3017 0.3017 0.4568  3 Ir 2.29-2.38
P: 0.3022 0.3022 0.9570  3 Ir 2.30-2.37
P: 0.3531 0.3531 0.3344  5 Ir 2.35-2.50
P: 0.3553 0.3553 0.8351  5 Ir 2.31-2.48
P: 0.4022 0.4022 0.7071  3 Ir 2.29-2.37
P: 0.4055 0.4055 0.2099  4 Ir 2.34-2.47
P: 0.4314 0.4314 0.0385  3 Ir 2.28-2.37
P: 0.4317 0.4317 0.5380  3 Ir 2.29-2.37
P: 0.4785 0.4785 0.4091  5 Ir 2.31-2.49
P: 0.4789 0.4789 0.9103  5 Ir 2.31-2.49
P: 0.5319 0.5319 0.7883  3 Ir 2.29-2.37
P: 0.5347 0.5347 0.2857  5 Ir 2.30-2.51
P: 0.6051 0.6051 0.5615  5 Ir 2.34-2.53
P: 0.6058 0.6058 0.0620  5 Ir 2.33-2.49
P: 0.6503 0.6503 0.4297  5 Ir 2.30-2.45
P: 0.6509 0.6509 0.9308  5 Ir 2.30-2.45
P: 0.7830 0.7830 0.5832  6 Ir 2.44-2.56
P: 0.7839 0.7839 0.0837  6 Ir 2.45-2.55
Ir: 0.0826 0.0826 0.7597  2 P 2.29-2.44
Ir: 0.1205 0.1205 0.1162  4 P 2.40-2.53
Ir: 0.1218 0.1218 0.6154  4 P 2.39-2.52
Ir: 0.1963 0.1963 0.4097  4 P 2.35-2.43
Ir: 0.1979 0.1979 0.9088  4 P 2.33-2.45
Ir: 0.2510 0.2510 0.2757  3 P 2.33-2.35
Ir: 0.2554 0.2554 0.7765  3 P 2.30-2.33
Ir: 0.3050 0.3050 0.6444  4 P 2.29-2.50
Ir: 0.3064 0.3064 0.1460  4 P 2.34-2.51
Ir: 0.3261 0.3261 0.0482  3 P 2.30-2.55
Ir: 0.3260 0.3260 0.5479  3 P 2.29-2.56
Ir: 0.3899 0.3899 0.4346  4 P 2.38-2.57
Ir: 0.3898 0.3898 0.9346  4 P 2.37-2.59
Ir: 0.4428 0.4428 0.3091  4 P 2.46-2.49
Ir: 0.4441 0.4441 0.8104  4 P 2.37-2.57
Ir: 0.5083 0.5083 0.6973  3 P 2.29-2.56
Ir: 0.5116 0.5116 0.1943  3 P 2.30-2.46
Ir: 0.5289 0.5289 0.0991  4 P 2.28-2.53
Ir: 0.5289 0.5289 0.6006  4 P 2.29-2.50
Ir: 0.5784 0.5784 0.4683  3 P 2.30-2.34
Ir: 0.5790 0.5790 0.9690  3 P 2.30-2.33
Ir: 0.6362 0.6362 0.8364  4 P 2.33-2.45
Ir: 0.6375 0.6375 0.3346  4 P 2.30-2.45
Ir: 0.7115 0.7115 0.1296  4 P 2.38-2.49
Ir: 0.7125 0.7125 0.6300  4 P 2.39-2.53
Ir: 0.7514 0.7514 0.4855  4 P 2.31-2.57
Ir: 0.7516 0.7516 0.9857  2 P 2.30-2.45
Ir: 0.8760 0.8760 0.0033  4 P 2.37-2.63
Ir: 0.8758 0.8758 0.5030  4 P 2.37-2.63
Ir: 0.9155 0.9155 0.3716  4 P 2.45-2.46
Ir: 0.9168 0.9168 0.8724  4 P 2.44-2.45
Ir: 0.9582 0.9582 0.7420  4 P 2.37-2.62
Ir: 0.9681 0.9681 0.2462  4 P 2.45-2.51

---

Density functional theory data (PBE) for crystalline TePIr at its relaxed geometry.

As for the space group: No. 61. The value obtained for the formation energy is -0.474 eV per atom. The size of the total moment comes out at 0.00 μB per formula unit.

a = 6.1061 Å, b = 6.1101 Å, c = 12.3722 Å
α = 90.00°, β = 90.00°, γ = 90.00°
With the nearest neighbours (Å) after each atom.
Sites, in units of the cell vectors:
Te: 0.1220 0.2064 0.0730  1 P 2.57, 3 Ir 2.66-2.72
Te: 0.1220 0.2936 0.5730  1 P 2.57, 3 Ir 2.66-2.72
Te: 0.3780 0.7064 0.0730  1 P 2.57, 3 Ir 2.66-2.72
Te: 0.3780 0.7936 0.5730  1 P 2.57, 3 Ir 2.66-2.72
Te: 0.6220 0.2064 0.4270  1 P 2.57, 3 Ir 2.66-2.72
Te: 0.6220 0.2936 0.9270  1 P 2.57, 3 Ir 2.66-2.72
Te: 0.8780 0.7064 0.4270  1 P 2.57, 3 Ir 2.66-2.72
Te: 0.8780 0.7936 0.9270  1 P 2.57, 3 Ir 2.66-2.72
P: 0.1237 0.5496 0.8097  3 Ir 2.38-2.42, 1 Te 2.57
P: 0.1237 0.9504 0.3097  3 Ir 2.38-2.42, 1 Te 2.57
P: 0.3763 0.0496 0.8097  3 Ir 2.38-2.42, 1 Te 2.57
P: 0.3763 0.4504 0.3097  3 Ir 2.38-2.42, 1 Te 2.57
P: 0.6237 0.5496 0.6903  3 Ir 2.38-2.42, 1 Te 2.57
P: 0.6237 0.9504 0.1903  3 Ir 2.38-2.42, 1 Te 2.57
P: 0.8763 0.0496 0.6903  3 Ir 2.38-2.42, 1 Te 2.57
P: 0.8763 0.4504 0.1903  3 Ir 2.38-2.42, 1 Te 2.57
Ir: 0.0220 0.1801 0.8588  3 P 2.38-2.42, 1 Te 2.66
Ir: 0.0220 0.3199 0.3588  3 P 2.38-2.42, 1 Te 2.66
Ir: 0.4780 0.6801 0.8588  3 P 2.38-2.42, 1 Te 2.66
Ir: 0.4780 0.8199 0.3588  3 P 2.38-2.42, 1 Te 2.66
Ir: 0.5220 0.1801 0.6412  3 P 2.38-2.42, 1 Te 2.66
Ir: 0.5220 0.3199 0.1412  3 P 2.38-2.42, 1 Te 2.66
Ir: 0.9780 0.6801 0.6412  3 P 2.38-2.42, 1 Te 2.66
Ir: 0.9780 0.8199 0.1412  3 P 2.38-2.42, 1 Te 2.66